(1)
# LiTiPO5

A geometry-optimized LiTiPO5 structure (PBE, the Materials Project).

a = 7.4960 Å, b = 6.4423 Å, c = 7.3400 Å
α = 90.00°, β = 90.00°, γ = 90.00°
Last column: nearest neighbours and their distance in Å.
Positions (direct):
Li1 0.0000 0.0000 0.0000  6 O 2.10-2.24
Li2 0.0000 0.5000 0.0000  6 O 2.10-2.24
Li3 0.5000 0.0000 0.5000  6 O 2.10-2.24
Li4 0.5000 0.5000 0.5000  6 O 2.10-2.24
Ti1 0.1668 0.2500 0.2808  2 O 1.73-1.92
Ti2 0.3332 0.7500 0.7808  2 O 1.73-1.92
Ti3 0.6668 0.2500 0.2192  2 O 1.73-1.92
Ti4 0.8332 0.7500 0.7192  2 O 1.73-1.92
P1 0.1262 0.7500 0.3745  4 O 1.55-1.56
P2 0.3738 0.2500 0.8745  4 O 1.55-1.56
P3 0.6262 0.7500 0.1255  4 O 1.55-1.56
P4 0.8738 0.2500 0.6255  4 O 1.55-1.56
O1 0.0475 0.2500 0.5121  1 P 1.55
O2 0.1119 0.7500 0.8477  1 Ti 1.73
O3 0.1286 0.5566 0.2498  1 P 1.55
O4 0.1286 0.9434 0.2498  1 P 1.55
O5 0.2069 0.2500 0.0013  1 P 1.56
O6 0.2931 0.7500 0.5013  1 P 1.56
O7 0.3714 0.0566 0.7498  1 P 1.55
O8 0.3714 0.4434 0.7498  1 P 1.55
O9 0.3881 0.2500 0.3477  1 Ti 1.73
O10 0.4525 0.7500 0.0121  1 P 1.55
O11 0.5475 0.2500 0.9879  1 P 1.55
O12 0.6119 0.7500 0.6523  1 Ti 1.73
O13 0.6286 0.5566 0.2502  1 P 1.55
O14 0.6286 0.9434 0.2502  1 P 1.55
O15 0.7069 0.2500 0.4987  1 P 1.56
O16 0.7931 0.7500 0.9987  1 P 1.56
O17 0.8714 0.0566 0.7502  1 P 1.55
O18 0.8714 0.4434 0.7502  1 P 1.55
O19 0.8881 0.2500 0.1523  1 Ti 1.73
O20 0.9525 0.7500 0.4879  1 P 1.55

Calculated values
**Spin magnetization**: 0.000 Bohr magnetons per cell
**E**: -7.612 eV/atom
**Formation energy**: -3.046 eV/atom
**ρ**: 3.11 g/cm3
**Polymorph energy (0 for the lowest one)**: 0.0 meV per atom
**Space group**: Pnma, No. 62

(2)
# LiTiP2O7

A geometry-optimized LiTiP2O7 structure (PBE, the Materials Project).

a = 6.3772 Å, b = 6.3772 Å, c = 13.4365 Å
α = 105.85°, β = 105.85°, γ = 79.75°
Last column: nearest neighbours and their distance in Å.
Positions (direct):
Li1 0.0329 0.7665 0.8769  4 O 2.16-2.30
Li2 0.2335 0.9671 0.6231  4 O 2.16-2.30
Li3 0.7665 0.0329 0.3769  4 O 2.16-2.30
Li4 0.9671 0.2335 0.1231  4 O 2.16-2.30
Ti1 0.1238 0.5936 0.3565  6 O 1.99-2.15
Ti2 0.4064 0.8762 0.1435  6 O 1.99-2.15
Ti3 0.5936 0.1238 0.8565  6 O 1.99-2.15
Ti4 0.8762 0.4064 0.6435  6 O 1.99-2.15
P1 0.0924 0.2461 0.8666  4 O 1.53-1.61
P2 0.2461 0.0924 0.3666  4 O 1.53-1.61
P3 0.3331 0.4190 0.5739  4 O 1.53-1.62
P4 0.4190 0.3331 0.0739  4 O 1.53-1.62
P5 0.5810 0.6669 0.9261  4 O 1.53-1.62
P6 0.6669 0.5810 0.4261  4 O 1.53-1.62
P7 0.7539 0.9076 0.6334  4 O 1.53-1.61
P8 0.9076 0.7539 0.1334  4 O 1.53-1.61
O1 0.0187 0.5743 0.1931  1 P 1.54
O2 0.0645 0.8811 0.1102  1 P 1.53
O3 0.0874 0.2656 0.3155  1 P 1.53
O4 0.1189 0.9355 0.3898  1 P 1.53
O5 0.1899 0.3350 0.6268  1 P 1.54
O6 0.2129 0.3895 0.9802  2 P 1.61-1.62
O7 0.2162 0.6118 0.5245  1 P 1.54
O8 0.2656 0.0874 0.8155  1 P 1.53
O9 0.3350 0.1899 0.1268  1 P 1.54
O10 0.3882 0.7838 0.9755  1 P 1.54
O11 0.3895 0.2129 0.4802  2 P 1.61-1.62
O12 0.4257 0.9813 0.3069  1 P 1.54
O13 0.4401 0.5350 0.3549  1 P 1.53
O14 0.4650 0.5599 0.1451  1 P 1.53
O15 0.5350 0.4401 0.8549  1 P 1.53
O16 0.5599 0.4650 0.6451  1 P 1.53
O17 0.5743 0.0187 0.6931  1 P 1.54
O18 0.6105 0.7871 0.5198  2 P 1.61-1.62
O19 0.6118 0.2162 0.0245  1 P 1.54
O20 0.6650 0.8101 0.8732  1 P 1.54
O21 0.7344 0.9126 0.1845  1 P 1.53
O22 0.7838 0.3882 0.4755  1 P 1.54
O23 0.7871 0.6105 0.0198  2 P 1.61-1.62
O24 0.8101 0.6650 0.3732  1 P 1.54
O25 0.8811 0.0645 0.6102  1 P 1.53
O26 0.9126 0.7344 0.6845  1 P 1.53
O27 0.9355 0.1189 0.8898  1 P 1.53
O28 0.9813 0.4257 0.8069  1 P 1.54

Calculated values
**Spin magnetization**: 4.003 Bohr magnetons per cell
**E**: -7.428 eV/atom
**Formation energy**: -2.841 eV/atom
**ρ**: 3.02 g/cm3
**Polymorph energy (0 for the lowest one)**: 21.8 meV per atom
**Space group**: C2/c, No. 15

(3)
# LiTi2P3O12

A geometry-optimized LiTi2P3O12 structure (PBE, the Materials Project).

a = 8.7176 Å, b = 11.9991 Å, c = 8.6399 Å
α = 90.00°, β = 90.09°, γ = 90.00°
Last column: nearest neighbours and their distance in Å.
Positions (direct):
Li1 0.2290 0.1824 0.2124  4 O 1.94-2.00
Li2 0.2290 0.3176 0.7124  4 O 1.94-2.00
Li3 0.7710 0.6824 0.2876  4 O 1.94-2.00
Li4 0.7710 0.8176 0.7876  4 O 1.94-2.00
Ti1 0.0321 0.1161 0.7457  6 O 1.89-2.04
Ti2 0.0321 0.3839 0.2457  6 O 1.89-2.04
Ti3 0.4511 0.6210 0.2495  6 O 1.91-2.06
Ti4 0.4511 0.8790 0.7495  6 O 1.91-2.06
Ti5 0.5489 0.1210 0.2505  6 O 1.91-2.06
Ti6 0.5489 0.3790 0.7505  6 O 1.91-2.06
Ti7 0.9679 0.6161 0.7543  6 O 1.89-2.04
Ti8 0.9679 0.8839 0.2543  6 O 1.89-2.04
P1 0.1039 0.6448 0.3985  4 O 1.53-1.55
P2 0.1039 0.8552 0.8985  4 O 1.53-1.55
P3 0.2525 0.0017 0.4602  4 O 1.53-1.55
P4 0.2525 0.4983 0.9602  4 O 1.53-1.55
P5 0.3949 0.1446 0.8915  4 O 1.54-1.55
P6 0.3949 0.3554 0.3915  4 O 1.54-1.55
P7 0.6051 0.6446 0.6085  4 O 1.54-1.55
P8 0.6051 0.8554 0.1085  4 O 1.54-1.55
P9 0.7475 0.5017 0.0398  4 O 1.53-1.55
P10 0.7475 0.9983 0.5398  4 O 1.53-1.55
P11 0.8961 0.1448 0.1015  4 O 1.53-1.55
P12 0.8961 0.3552 0.6015  4 O 1.53-1.55
O1 0.0157 0.2231 0.1783  1 P 1.55
O2 0.0157 0.2769 0.6783  1 P 1.55
O3 0.0663 0.5253 0.3433  1 P 1.55
O4 0.0663 0.9747 0.8433  1 P 1.55
O5 0.0891 0.6557 0.5745  1 P 1.53
O6 0.0891 0.8443 0.0745  1 P 1.53
O7 0.1478 0.5754 0.8621  1 P 1.55
O8 0.1478 0.9246 0.3621  1 P 1.55
O9 0.1509 0.0754 0.5632  1 P 1.54
O10 0.1509 0.4246 0.0632  1 P 1.54
O11 0.2309 0.1772 0.8374  1 P 1.55
O12 0.2309 0.3228 0.3374  1 P 1.55
O13 0.2691 0.6739 0.3493  1 P 1.54
O14 0.2691 0.8261 0.8493  1 P 1.54
O15 0.3441 0.0788 0.3515  1 P 1.54
O16 0.3441 0.4212 0.8515  1 P 1.54
O17 0.3523 0.5727 0.0636  1 P 1.53
O18 0.3523 0.9273 0.5636  1 P 1.53
O19 0.4013 0.1541 0.0700  1 P 1.55
O20 0.4013 0.3459 0.5700  1 P 1.55
O21 0.4332 0.0260 0.8371  1 P 1.54
O22 0.4332 0.4740 0.3371  1 P 1.54
O23 0.4902 0.7284 0.6797  1 P 1.55
O24 0.4902 0.7716 0.1797  1 P 1.55
O25 0.5098 0.2284 0.8203  1 P 1.55
O26 0.5098 0.2716 0.3203  1 P 1.55
O27 0.5668 0.5260 0.6629  1 P 1.54
O28 0.5668 0.9740 0.1629  1 P 1.54
O29 0.5987 0.6541 0.4300  1 P 1.55
O30 0.5987 0.8459 0.9300  1 P 1.55
O31 0.6477 0.0727 0.4364  1 P 1.53
O32 0.6477 0.4273 0.9364  1 P 1.53
O33 0.6559 0.5788 0.1485  1 P 1.54
O34 0.6559 0.9212 0.6485  1 P 1.54
O35 0.7309 0.1739 0.1507  1 P 1.54
O36 0.7309 0.3261 0.6507  1 P 1.54
O37 0.7691 0.6772 0.6626  1 P 1.55
O38 0.7691 0.8228 0.1626  1 P 1.55
O39 0.8491 0.5754 0.9368  1 P 1.54
O40 0.8491 0.9246 0.4368  1 P 1.54
O41 0.8522 0.0754 0.6379  1 P 1.55
O42 0.8522 0.4246 0.1379  1 P 1.55
O43 0.9109 0.1557 0.9255  1 P 1.53
O44 0.9109 0.3443 0.4255  1 P 1.53
O45 0.9337 0.0253 0.1567  1 P 1.55
O46 0.9337 0.4747 0.6567  1 P 1.55
O47 0.9843 0.7231 0.3217  1 P 1.55
O48 0.9843 0.7769 0.8217  1 P 1.55

Calculated values
**Spin magnetization**: 0.000 Bohr magnetons per cell
**E**: -7.741 eV/atom
**Formation energy**: -3.015 eV/atom
**ρ**: 2.85 g/cm3
**Polymorph energy (0 for the lowest one)**: 3.5 meV per atom
**Space group**: P2_1/c, No. 14

(4)
# LiTiP2O7

A geometry-optimized LiTiP2O7 structure (PBE, the Materials Project).

a = 5.3079 Å, b = 5.3079 Å, c = 4.6110 Å
α = 98.58°, β = 98.58°, γ = 103.04°
Last column: nearest neighbours and their distance in Å.
Positions (direct):
Li1 0.0000 0.0000 0.0000  4 O 2.10-2.17
Ti1 0.3785 0.6215 0.0000  6 O 2.01-2.11
P1 0.5071 0.0797 0.5897  4 O 1.52-1.62
P2 0.9203 0.4929 0.4103  4 O 1.52-1.62
O1 0.0700 0.6737 0.7073  1 P 1.54
O2 0.0931 0.4007 0.1982  1 P 1.54
O3 0.3263 0.9300 0.2927  1 P 1.54
O4 0.3847 0.2838 0.7433  1 P 1.52
O5 0.5993 0.9069 0.8018  1 P 1.54
O6 0.7162 0.6153 0.2567  1 P 1.52
O7 0.7801 0.2199 0.5000  2 P 1.62

Calculated values
**Spin magnetization**: 1.000 Bohr magnetons per cell
**E**: -7.429 eV/atom
**Formation energy**: -2.842 eV/atom
**ρ**: 3.09 g/cm3
**Polymorph energy (0 for the lowest one)**: 21.4 meV per atom
**Space group**: C2, No. 5